# NiH18C4S6N8O4 | Materials Project | GGA+U | optimized geometry
data_NiH18C4S6N8O4
_chemical_formula_sum 'Ni4 H72 C16 S24 N32 O16'
_cell_length_a 9.570
_cell_length_b 12.014
_cell_length_c 20.226
_cell_angle_alpha 90.00
_cell_angle_beta 90.00
_cell_angle_gamma 90.00
_symmetry_space_group_name_H-M 'P 1'
_symmetry_Int_Tables_number 1
loop_
_symmetry_equiv_pos_as_xyz
'x,y,z'
loop_
_atom_site_label
_atom_site_fract_x
_atom_site_fract_y
_atom_site_fract_z
_atom_site_occupancy
H1 0.570 0.443 0.965 1
H2 0.761 0.559 0.654 1
H3 0.723 0.176 0.651 1
H4 0.066 0.368 0.847 1
H5 0.430 0.943 0.535 1
H6 0.693 0.521 0.249 1
H7 0.778 0.961 0.142 1
H8 0.596 0.280 0.574 1
H9 0.686 0.606 0.188 1
H10 0.070 0.057 0.035 1
H11 0.566 0.132 0.153 1
H12 0.432 0.214 0.658 1
H13 0.774 0.611 0.434 1
H14 0.807 0.479 0.749 1
H15 0.274 0.889 0.566 1
H16 0.261 0.941 0.346 1
H17 0.435 0.840 0.779 1
H18 0.722 0.039 0.642 1
H19 0.904 0.720 0.074 1
H20 0.186 0.894 0.812 1
H21 0.193 0.979 0.751 1
H22 0.222 0.461 0.358 1
H23 0.173 0.825 0.321 1
H24 0.903 0.762 0.992 1
H25 0.932 0.286 0.342 1
H26 0.061 0.991 0.541 1
H27 0.493 0.462 0.740 1
H28 0.229 0.341 0.814 1
H29 0.210 0.743 0.113 1
H30 0.790 0.243 0.387 1
H31 0.568 0.714 0.842 1
H32 0.814 0.394 0.688 1
H33 0.771 0.841 0.686 1
H34 0.290 0.257 0.613 1
H35 0.314 0.106 0.312 1
H36 0.935 0.660 0.221 1
H37 0.068 0.786 0.158 1
H38 0.597 0.238 0.492 1
H39 0.729 0.159 0.186 1
H40 0.560 0.443 0.533 1
H41 0.239 0.059 0.846 1
H42 0.507 0.962 0.760 1
H43 0.939 0.491 0.959 1
H44 0.673 0.675 0.679 1
H45 0.440 0.943 0.967 1
H46 0.710 0.757 0.887 1
H47 0.007 0.538 0.240 1
H48 0.993 0.038 0.260 1
H49 0.226 0.111 0.066 1
H50 0.223 0.324 0.349 1
H51 0.403 0.738 0.008 1
H52 0.434 0.632 0.347 1
H53 0.097 0.262 0.508 1
H54 0.739 0.441 0.154 1
H55 0.096 0.220 0.426 1
H56 0.439 0.009 0.041 1
H57 0.404 0.780 0.926 1
H58 0.277 0.676 0.849 1
H59 0.940 0.557 0.033 1
H60 0.565 0.340 0.721 1
H61 0.271 0.659 0.314 1
H62 0.561 0.509 0.459 1
H63 0.777 0.824 0.151 1
H64 0.827 0.325 0.179 1
H65 0.726 0.389 0.934 1
H66 0.278 0.539 0.858 1
H67 0.065 0.160 0.279 1
H68 0.930 0.557 0.465 1
H69 0.060 0.057 0.467 1
H70 0.307 0.021 0.251 1
H71 0.934 0.868 0.653 1
H72 0.327 0.175 0.821 1
S1 0.334 0.506 0.988 1
S2 0.831 0.403 0.561 1
S3 0.735 0.985 0.835 1
S4 0.926 0.643 0.854 1
S5 0.265 0.485 0.665 1
S6 0.033 0.766 0.807 1
S7 0.235 0.515 0.165 1
S8 0.521 0.837 0.391 1
S9 0.834 0.994 0.012 1
S10 0.331 0.097 0.439 1
S11 0.533 0.734 0.193 1
S12 0.467 0.234 0.307 1
S13 0.979 0.163 0.891 1
S14 0.074 0.143 0.646 1
S15 0.169 0.903 0.939 1
S16 0.765 0.015 0.335 1
S17 0.666 0.006 0.512 1
S18 0.669 0.597 0.061 1
S19 0.166 0.494 0.488 1
S20 0.021 0.663 0.609 1
S21 0.479 0.337 0.109 1
S22 0.426 0.857 0.146 1
S23 0.574 0.357 0.354 1
S24 0.967 0.266 0.693 1
C1 0.355 0.619 0.937 1
C2 0.365 0.792 0.359 1
C3 0.855 0.881 0.063 1
C4 0.252 0.008 0.495 1
C5 0.124 0.626 0.176 1
C6 0.748 0.508 0.005 1
C7 0.145 0.381 0.437 1
C8 0.876 0.126 0.324 1
C9 0.752 0.492 0.505 1
C10 0.645 0.119 0.563 1
C11 0.248 0.992 0.995 1
C12 0.635 0.292 0.141 1
C13 0.865 0.708 0.641 1
C14 0.376 0.374 0.676 1
C15 0.624 0.874 0.824 1
C16 0.135 0.208 0.859 1
O1 0.639 0.302 0.414 1
O2 0.361 0.802 0.086 1
O3 0.479 0.448 0.375 1
O4 0.685 0.399 0.310 1
O5 0.185 0.101 0.690 1
O6 0.251 0.059 0.285 1
O7 0.749 0.559 0.215 1
O8 0.315 0.899 0.190 1
O9 0.861 0.698 0.914 1
O10 0.751 0.441 0.715 1
O11 0.249 0.941 0.785 1
O12 0.139 0.198 0.586 1
O13 0.021 0.552 0.875 1
O14 0.815 0.601 0.810 1
O15 0.979 0.052 0.625 1
O16 0.521 0.948 0.125 1
Ni1 0.558 0.043 0.404 1
Ni2 0.942 0.957 0.904 1
Ni3 0.058 0.457 0.596 1
Ni4 0.442 0.543 0.096 1
N1 0.111 0.003 0.497 1
N2 0.829 0.890 0.130 1
N3 0.973 0.117 0.275 1
N4 0.177 0.057 0.036 1
N5 0.389 0.997 0.997 1
N6 0.329 0.610 0.870 1
N7 0.850 0.817 0.655 1
N8 0.150 0.317 0.845 1
N9 0.376 0.280 0.640 1
N10 0.889 0.503 0.003 1
N11 0.527 0.883 0.775 1
N12 0.027 0.617 0.225 1
N13 0.473 0.383 0.725 1
N14 0.671 0.110 0.630 1
N15 0.752 0.644 0.650 1
N16 0.248 0.144 0.850 1
N17 0.599 0.216 0.541 1
N18 0.611 0.497 0.503 1
N19 0.876 0.220 0.360 1
N20 0.099 0.284 0.459 1
N21 0.171 0.390 0.370 1
N22 0.748 0.356 0.150 1
N23 0.624 0.780 0.860 1
N24 0.124 0.720 0.140 1
N25 0.901 0.784 0.041 1
N26 0.677 0.443 0.964 1
N27 0.401 0.716 0.959 1
N28 0.252 0.856 0.350 1
N29 0.350 0.683 0.345 1
N30 0.823 0.557 0.464 1
N31 0.650 0.183 0.155 1
N32 0.323 0.943 0.536 1
# ΔE_f (eV/f.u.): -15.5
# Space-group type: P2_12_12_1 (19)

---

# NiH32C8S4N2O10 | Materials Project | GGA+U | optimized geometry
data_NiH32C8S4N2O10
_chemical_formula_sum 'Ni2 H64 C16 S8 N4 O20'
_cell_length_a 10.684
_cell_length_b 10.206
_cell_length_c 11.858
_cell_angle_alpha 55.33
_cell_angle_beta 90.00
_cell_angle_gamma 90.00
_symmetry_space_group_name_H-M 'P 1'
_symmetry_Int_Tables_number 1
loop_
_symmetry_equiv_pos_as_xyz
'x,y,z'
loop_
_atom_site_label
_atom_site_fract_x
_atom_site_fract_y
_atom_site_fract_z
_atom_site_occupancy
O1 0.715 0.014 0.746 1
O2 0.465 0.830 0.452 1
O3 0.673 0.759 0.355 1
O4 0.215 0.986 0.754 1
O5 0.098 0.237 0.631 1
O6 0.785 0.014 0.246 1
O7 0.285 0.986 0.254 1
O8 0.902 0.763 0.369 1
O9 0.402 0.237 0.131 1
O10 0.535 0.170 0.548 1
O11 0.035 0.830 0.952 1
O12 0.596 0.145 0.309 1
O13 0.096 0.855 0.191 1
O14 0.327 0.241 0.645 1
O15 0.404 0.855 0.691 1
O16 0.173 0.241 0.145 1
O17 0.598 0.763 0.869 1
O18 0.965 0.170 0.048 1
O19 0.904 0.145 0.809 1
O20 0.827 0.759 0.855 1
H1 0.995 0.416 0.768 1
H2 0.042 0.191 0.083 1
H3 0.458 0.191 0.583 1
H4 0.233 0.656 0.791 1
H5 0.487 0.175 0.829 1
H6 0.903 0.121 0.124 1
H7 0.997 0.155 0.488 1
H8 0.695 0.511 0.850 1
H9 0.416 0.602 0.376 1
H10 0.733 0.344 0.709 1
H11 0.907 0.565 0.771 1
H12 0.013 0.175 0.329 1
H13 0.876 0.344 0.501 1
H14 0.003 0.845 0.512 1
H15 0.470 0.818 0.762 1
H16 0.084 0.602 0.876 1
H17 0.503 0.155 0.988 1
H18 0.624 0.344 0.001 1
H19 0.636 0.118 0.917 1
H20 0.593 0.565 0.271 1
H21 0.426 0.418 0.888 1
H22 0.840 0.088 0.792 1
H23 0.743 0.312 0.427 1
H24 0.074 0.418 0.388 1
H25 0.340 0.912 0.708 1
H26 0.243 0.688 0.073 1
H27 0.407 0.435 0.729 1
H28 0.805 0.511 0.350 1
H29 0.828 0.542 0.132 1
H30 0.364 0.882 0.083 1
H31 0.093 0.435 0.229 1
H32 0.530 0.182 0.238 1
H33 0.376 0.656 0.999 1
H34 0.305 0.489 0.150 1
H35 0.030 0.818 0.262 1
H36 0.864 0.118 0.417 1
H37 0.958 0.809 0.917 1
H38 0.513 0.825 0.171 1
H39 0.916 0.398 0.124 1
H40 0.328 0.458 0.368 1
H41 0.267 0.656 0.291 1
H42 0.757 0.312 0.927 1
H43 0.505 0.416 0.268 1
H44 0.160 0.912 0.208 1
H45 0.584 0.398 0.624 1
H46 0.097 0.879 0.876 1
H47 0.542 0.809 0.417 1
H48 0.497 0.845 0.012 1
H49 0.597 0.121 0.624 1
H50 0.495 0.584 0.732 1
H51 0.926 0.582 0.612 1
H52 0.574 0.582 0.112 1
H53 0.970 0.182 0.738 1
H54 0.005 0.584 0.232 1
H55 0.124 0.656 0.499 1
H56 0.660 0.088 0.292 1
H57 0.257 0.688 0.573 1
H58 0.672 0.542 0.632 1
H59 0.403 0.879 0.376 1
H60 0.767 0.344 0.209 1
H61 0.172 0.458 0.868 1
H62 0.195 0.489 0.650 1
H63 0.987 0.825 0.671 1
H64 0.136 0.882 0.583 1
C1 0.949 0.188 0.394 1
C2 0.827 0.384 0.406 1
C3 0.970 0.542 0.711 1
C4 0.173 0.616 0.594 1
C5 0.673 0.384 0.906 1
C6 0.551 0.188 0.894 1
C7 0.030 0.458 0.289 1
C8 0.327 0.616 0.094 1
C9 0.051 0.812 0.606 1
C10 0.470 0.458 0.789 1
C11 0.449 0.812 0.106 1
C12 0.149 0.585 0.814 1
C13 0.851 0.415 0.186 1
C14 0.530 0.542 0.211 1
C15 0.351 0.585 0.314 1
C16 0.649 0.415 0.686 1
N1 0.414 0.639 0.181 1
N2 0.086 0.639 0.681 1
N3 0.586 0.361 0.819 1
N4 0.914 0.361 0.319 1
S1 0.789 0.846 0.284 1
S2 0.211 0.154 0.716 1
S3 0.289 0.154 0.216 1
S4 0.199 0.144 0.892 1
S5 0.699 0.856 0.608 1
S6 0.711 0.846 0.784 1
S7 0.301 0.144 0.392 1
S8 0.801 0.856 0.108 1
Ni1 0.000 0.000 0.000 1
Ni2 0.500 0.000 0.500 1
# ΔE_f (eV/f.u.): -36.1
# Space-group type: P2_1/c (14)

---

# NiH20C12S2N2O8 | Materials Project | GGA+U | optimized geometry
data_NiH20C12S2N2O8
_chemical_formula_sum 'Ni2 H40 C24 S4 N4 O16'
_cell_length_a 5.243
_cell_length_b 13.313
_cell_length_c 18.575
_cell_angle_alpha 47.56
_cell_angle_beta 90.00
_cell_angle_gamma 90.00
_symmetry_space_group_name_H-M 'P 1'
_symmetry_Int_Tables_number 1
loop_
_symmetry_equiv_pos_as_xyz
'x,y,z'
loop_
_atom_site_label
_atom_site_fract_x
_atom_site_fract_y
_atom_site_fract_z
_atom_site_occupancy
H1 0.726 0.493 0.800 1
H2 0.734 0.448 0.064 1
H3 0.353 0.972 0.753 1
H4 0.661 0.664 0.234 1
H5 0.983 0.841 0.334 1
H6 0.774 0.493 0.300 1
H7 0.973 0.646 0.894 1
H8 0.916 0.992 0.592 1
H9 0.327 0.057 0.338 1
H10 0.709 0.310 0.692 1
H11 0.527 0.646 0.394 1
H12 0.673 0.943 0.662 1
H13 0.766 0.448 0.564 1
H14 0.226 0.507 0.700 1
H15 0.791 0.310 0.192 1
H16 0.371 0.416 0.165 1
H17 0.266 0.552 0.936 1
H18 0.291 0.690 0.308 1
H19 0.274 0.507 0.200 1
H20 0.416 0.008 0.908 1
H21 0.629 0.584 0.835 1
H22 0.647 0.028 0.247 1
H23 0.084 0.008 0.408 1
H24 0.517 0.841 0.834 1
H25 0.483 0.159 0.166 1
H26 0.339 0.336 0.766 1
H27 0.871 0.584 0.335 1
H28 0.147 0.972 0.253 1
H29 0.827 0.943 0.162 1
H30 0.129 0.416 0.665 1
H31 0.209 0.690 0.808 1
H32 0.161 0.336 0.266 1
H33 0.027 0.354 0.106 1
H34 0.853 0.028 0.747 1
H35 0.173 0.057 0.838 1
H36 0.017 0.159 0.666 1
H37 0.473 0.354 0.606 1
H38 0.584 0.992 0.092 1
H39 0.234 0.552 0.436 1
H40 0.839 0.664 0.734 1
C1 0.622 0.395 0.622 1
C2 0.714 0.566 0.306 1
C3 0.211 0.190 0.001 1
C4 0.085 0.386 0.923 1
C5 0.286 0.301 0.998 1
C6 0.878 0.395 0.122 1
C7 0.786 0.699 0.502 1
C8 0.786 0.566 0.806 1
C9 0.378 0.605 0.378 1
C10 0.122 0.605 0.878 1
C11 0.289 0.190 0.501 1
C12 0.585 0.614 0.577 1
C13 0.987 0.725 0.070 1
C14 0.789 0.810 0.999 1
C15 0.711 0.810 0.499 1
C16 0.487 0.275 0.430 1
C17 0.714 0.699 0.002 1
C18 0.415 0.386 0.423 1
C19 0.513 0.725 0.570 1
C20 0.013 0.275 0.930 1
C21 0.286 0.434 0.694 1
C22 0.214 0.434 0.194 1
C23 0.214 0.301 0.498 1
C24 0.915 0.614 0.077 1
O1 0.247 0.059 0.386 1
O2 0.731 0.932 0.955 1
O3 0.063 0.317 0.541 1
O4 0.563 0.683 0.959 1
O5 0.231 0.068 0.545 1
O6 0.021 0.070 0.735 1
O7 0.437 0.317 0.041 1
O8 0.937 0.683 0.459 1
O9 0.747 0.941 0.114 1
O10 0.479 0.070 0.235 1
O11 0.521 0.930 0.765 1
O12 0.753 0.941 0.614 1
O13 0.769 0.932 0.455 1
O14 0.253 0.059 0.886 1
O15 0.269 0.068 0.045 1
O16 0.979 0.930 0.265 1
Ni1 0.500 0.000 0.500 1
Ni2 0.000 0.000 0.000 1
S1 0.303 0.770 0.612 1
S2 0.803 0.230 0.888 1
S3 0.197 0.770 0.112 1
S4 0.697 0.230 0.388 1
N1 0.496 0.512 0.372 1
N2 0.004 0.512 0.872 1
N3 0.504 0.488 0.628 1
N4 0.996 0.488 0.128 1
# ΔE_f (eV/f.u.): -24.8
# Space-group type: P2_1/c (14)